Record 1
A relaxed structure of CaMg5. Source: Materials Project, functional PBE.

```
CaMg5
1.0
1.6534 6.3537 0.0000
-1.6534 6.3537 0.0000
0.0000 1.8670 7.3463
Ca Mg
1 5
Direct
0.6133 0.6133 0.2723 Ca
0.9924 0.9924 0.9909 Mg
0.2860 0.2860 0.9352 Mg
0.3380 0.3380 0.3381 Mg
0.6667 0.6667 0.6779 Mg
0.9368 0.9368 0.6189 Mg
```

- E (eV/cell) = -9.875
- space group = Cm, No. 8
- ΔH_f (0 K) (eV per atom) = 0.0220

---

Record 2
A relaxed structure of CaMg. Source: Materials Project, functional PBE.

```
CaMg
1.0
-1.7724 2.3813 2.7349
1.4185 -2.3462 2.9622
3.1756 2.1522 0.1840
Ca Mg
1 1
Direct
0.0000 0.0000 0.5000 Ca
0.5000 0.5000 0.0000 Mg
```

- E (eV/cell) = -3.763
- space group = P4/mmm, No. 123
- ΔH_f (0 K) (eV per atom) = -0.0788

---

Record 3
A relaxed structure of CaMg. Source: Materials Project, functional PBE.

```
CaMg
1.0
-3.1062 -0.7928 2.1030
-1.9835 -3.3400 -4.1889
2.7013 -4.4868 2.2985
Mg Ca
2 2
Direct
0.0000 0.7500 0.7445 Mg
0.0000 0.2500 0.2555 Mg
0.5000 0.7500 0.2465 Ca
0.5000 0.2500 0.7535 Ca
```

- E (eV/cell) = -7.525
- space group = Pmma, No. 51
- ΔH_f (0 K) (eV per atom) = -0.0784

---

Record 4
A relaxed structure of CaMg2. Source: Materials Project, functional PBE.

```
CaMg2
1.0
1.7248 6.5352 0.0000
-1.7248 6.5352 0.0000
0.0000 1.6734 7.7503
Ca Mg
2 4
Direct
0.6191 0.6191 0.2632 Ca
0.9385 0.9385 0.6214 Ca
0.3358 0.3358 0.3212 Mg
0.2770 0.2770 0.9469 Mg
0.6687 0.6687 0.6784 Mg
0.9942 0.9942 0.0022 Mg
```

- E (eV/cell) = -10.158
- space group = Cm, No. 8
- ΔH_f (0 K) (eV per atom) = 0.0424

---

Record 5
A relaxed structure of CaMg. Source: Materials Project, functional PBE.

```
CaMg
1.0
1.8341 -3.1767 0.0000
1.8341 3.1767 0.0000
0.0000 0.0000 5.6223
Ca Mg
1 1
Direct
0.0000 0.0000 0.5000 Ca
0.6667 0.3333 0.0000 Mg
```

- E (eV/cell) = -3.493
- space group = P-6m2, No. 187
- ΔH_f (0 K) (eV per atom) = 0.0563

---

Record 6
A relaxed structure of CaMg. Source: Materials Project, functional PBE.

```
CaMg
1.0
3.6926 0.0000 0.0000
0.0000 5.8096 0.0000
0.0000 0.0000 5.9893
Mg Ca
2 2
Direct
0.0000 0.5000 0.4150 Mg
0.5000 0.0000 0.5850 Mg
0.0000 0.0000 0.0932 Ca
0.5000 0.5000 0.9068 Ca
```

- E (eV/cell) = -7.027
- space group = Pmmn, No. 59
- ΔH_f (0 K) (eV per atom) = 0.0462

---

Record 7
A relaxed structure of CaMg. Source: Materials Project, functional PBE.

```
CaMg
1.0
-3.6007 0.4943 -4.2700
2.5440 -1.8116 -2.3550
-7.0032 -15.2208 4.1435
Mg Ca
6 6
Direct
0.5000 0.0000 0.2100 Mg
0.0000 0.0000 0.0032 Mg
0.0000 0.5000 0.5032 Mg
0.5000 0.5000 0.7100 Mg
0.0000 0.0000 0.3550 Mg
0.0000 0.5000 0.8550 Mg
0.0000 0.5000 0.1877 Ca
0.5000 0.0000 0.5468 Ca
0.5000 0.5000 0.3640 Ca
0.5000 0.5000 0.0468 Ca
0.5000 0.0000 0.8640 Ca
0.0000 0.0000 0.6877 Ca
```

- E (eV/cell) = -22.225
- ΔH_f (0 K) (eV per atom) = -0.0491

---

Record 8
A relaxed structure of CaMg. Source: Materials Project, functional PBE.

```
CaMg
1.0
5.7506 -1.8287 0.0000
5.7506 1.8287 0.0000
5.1691 0.0000 3.1136
Mg Ca
1 1
Direct
0.5000 0.5000 0.5000 Mg
0.0000 0.0000 0.0000 Ca
```

- E (eV/cell) = -3.496
- space group = R-3m, No. 166
- ΔH_f (0 K) (eV per atom) = 0.0548